No. 1
The following is a PBE with a Hubbard U calculation of a geometry-optimized MgFe8O8F8 structure, from the Materials Project.

The structure in POSCAR format:
```
MgFe8O8F8
1.0
9.7890 -0.3184 0.0000
-0.3162 10.1068 0.0000
0.0000 0.0000 3.1254
Mg Fe O F
1 8 8 8
Direct
0.7609 0.0130 0.0000
0.1211 0.9849 0.0000
0.0074 0.4967 0.0000
0.2128 0.2731 0.5000
0.2345 0.7215 0.5000
0.5118 0.4982 0.0000
0.4635 0.0115 0.0000
0.7444 0.3060 0.5000
0.7618 0.6889 0.5000
0.0915 0.4078 0.5000
0.1340 0.8782 0.5000
0.1530 0.1715 0.0000
0.1619 0.6362 0.0000
0.5859 0.4081 0.5000
0.6506 0.6420 0.0000
0.8427 0.3557 0.0000
0.9106 0.5895 0.5000
0.3438 0.3630 0.0000
0.3725 0.8291 0.0000
0.3854 0.1111 0.5000
0.4056 0.5934 0.5000
0.6162 0.9488 0.5000
0.6374 0.1650 0.0000
0.8272 0.8368 0.0000
0.8481 0.0977 0.5000
```

Its offset from the most stable computed form is 0.0295 eV per atom. For the total energy, the calculation gives -5.98 eV per atom. For the size of the total moment, the calculation gives 0.00 μB per formula unit.

---

No. 2
The following is a PBE with a Hubbard U calculation of a geometry-optimized InMoHSeO7 structure, from the Materials Project.

The structure in POSCAR format:
```
InMoHSeO7
1.0
3.1789 -6.6590 7.8772
3.7938 -1.3957 10.0078
-6.6042 -4.0144 11.8232
In Mo H Se O
4 4 4 4 28
Direct
0.8828 0.5799 0.4057
0.4201 0.1172 0.0943
0.1172 0.4201 0.5943
0.5799 0.8828 0.9057
0.4629 0.7451 0.7009
0.2549 0.5371 0.7991
0.5371 0.2549 0.2991
0.7451 0.4629 0.2009
0.7496 0.2023 0.8240
0.7977 0.2504 0.6760
0.2504 0.7977 0.1760
0.2023 0.7496 0.3240
0.2717 0.9693 0.4303
0.0307 0.7283 0.0697
0.7283 0.0307 0.5697
0.9693 0.2717 0.9303
0.5029 0.7712 0.5028
0.2288 0.4971 0.9972
0.4971 0.2288 0.4972
0.7712 0.5029 0.0028
0.7882 0.5858 0.5990
0.4142 0.2118 0.9010
0.2118 0.4142 0.4010
0.5858 0.7882 0.0990
0.0174 0.2290 0.4918
0.7710 0.9826 0.0082
0.9826 0.7710 0.5082
0.2290 0.0174 0.9918
0.2198 0.7802 0.7500
0.7802 0.2198 0.2500
0.6715 0.3285 0.7500
0.3285 0.6715 0.2500
0.5014 0.6347 0.8486
0.3653 0.4986 0.6514
0.4986 0.3653 0.1514
0.6347 0.5014 0.3486
0.3871 0.0583 0.2811
0.9417 0.6129 0.2189
0.6129 0.9417 0.7189
0.0583 0.3871 0.7811
0.2678 0.0629 0.6613
0.9371 0.7322 0.8387
0.7322 0.9371 0.3387
0.0629 0.2678 0.1613
```

For the total energy, the calculation gives -5.96 eV per atom. For the size of the total moment, the calculation gives 0.00 μB per formula unit.

---

No. 3
The following is a PBE with a Hubbard U calculation of a geometry-optimized Na3VMo3O21 structure, from the Materials Project.

The structure in POSCAR format:
```
Na3VMo3O21
1.0
8.5546 3.2222 -0.8946
1.7411 -10.7826 -1.1544
-2.8128 5.6851 -9.0566
Na V Mo O
6 2 6 42
Direct
0.6013 0.1621 0.3692
0.3987 0.8379 0.6308
0.6003 0.1349 0.9451
0.3997 0.8651 0.0549
0.8951 0.5601 0.3116
0.1049 0.4399 0.6884
0.8260 0.0378 0.0822
0.1740 0.9622 0.9178
0.8137 0.8278 0.6868
0.1863 0.1722 0.3132
0.8381 0.6526 0.8719
0.1619 0.3474 0.1281
0.9562 0.1757 0.8261
0.0438 0.8243 0.1739
0.8555 0.6907 0.5392
0.1445 0.3093 0.4608
0.6459 0.8587 0.6442
0.3541 0.1413 0.3558
0.7309 0.7383 0.7941
0.2691 0.2617 0.2059
0.9519 0.9838 0.6906
0.0481 0.0162 0.3094
0.9835 0.1707 0.1832
0.0165 0.8293 0.8168
0.8204 0.0300 0.9218
0.1795 0.9700 0.0782
0.6960 0.5810 0.9388
0.3040 0.4190 0.0612
0.8797 0.5119 0.7253
0.1203 0.4881 0.2747
0.9868 0.3136 0.0154
0.0132 0.6864 0.9846
0.8600 0.8807 0.0666
0.1400 0.1193 0.9334
0.0732 0.2605 0.7500
0.9268 0.7395 0.2500
0.7788 0.1976 0.7993
0.2212 0.8024 0.2007
0.6423 0.0471 0.1316
0.3577 0.9529 0.8684
0.5450 0.1042 0.6268
0.4550 0.8958 0.3732
0.6159 0.8289 0.2229
0.3841 0.1711 0.7771
0.4368 0.6039 0.7822
0.5632 0.3961 0.2178
0.5440 0.2087 0.6112
0.4560 0.7913 0.3888
0.7862 0.2528 0.2686
0.2138 0.7472 0.7314
0.6141 0.7283 0.2435
0.3859 0.2717 0.7565
0.4162 0.4902 0.6678
0.5838 0.5098 0.3322
0.3148 0.6386 0.8448
0.6852 0.3614 0.1552
```

Its offset from the most stable computed form is 0.0191 eV per atom. For the total energy, the calculation gives -5.96 eV per atom. For the size of the total moment, the calculation gives 2.00 μB per formula unit.

---

No. 4
The following is a PBE with a Hubbard U calculation of a geometry-optimized Li2Mn3SbO8 structure, from the Materials Project.

The structure in POSCAR format:
```
Li2Mn3SbO8
1.0
0.4834 -5.8056 1.2667
-6.6056 -5.5146 -6.6366
3.6010 -3.7070 -3.3637
Li Mn Sb O
4 6 2 16
Direct
0.4407 0.6977 0.4308
0.9405 0.1979 0.9309
0.0593 0.8022 0.0692
0.5594 0.3023 0.5691
0.4994 0.9999 0.5004
0.5002 0.0001 0.0000
0.5002 0.5000 0.9999
0.0004 0.5000 0.9998
0.0002 0.5001 0.4999
0.9998 0.0000 0.4996
0.2500 0.2500 0.2502
0.7500 0.7500 0.7501
0.3699 0.9067 0.3615
0.8705 0.4068 0.8613
0.1301 0.5933 0.1383
0.6295 0.0932 0.6386
0.6070 0.1342 0.1295
0.1072 0.6343 0.6294
0.1499 0.1236 0.5897
0.6504 0.6235 0.0894
0.1502 0.1237 0.1365
0.6506 0.6236 0.6363
0.3498 0.3764 0.3636
0.8498 0.8765 0.8634
0.3500 0.3764 0.9105
0.8494 0.8764 0.4106
0.8930 0.3658 0.3705
0.3927 0.8656 0.8709
```

Its offset from the most stable computed form is 0.0154 eV per atom. For the total energy, the calculation gives -6.71 eV per atom. For the size of the total moment, the calculation gives 0.00 μB per formula unit.

---

No. 5
The following is a PBE with a Hubbard U calculation of a geometry-optimized KTh2V3O12 structure, from the Materials Project.

The structure in POSCAR format:
```
KTh2V3O12
1.0
3.6048 9.3809 0.0000
-3.6048 9.3809 0.0000
0.0000 1.5686 8.1026
K Th V O
2 4 6 24
Direct
0.6154 0.3846 0.2500
0.3846 0.6154 0.7500
0.0586 0.2494 0.4632
0.7506 0.9414 0.0368
0.9414 0.7506 0.5368
0.2494 0.0586 0.9632
0.1061 0.8939 0.2500
0.8939 0.1061 0.7500
0.6052 0.7757 0.3169
0.2243 0.3948 0.1831
0.3948 0.2243 0.6831
0.7757 0.6052 0.8169
0.2687 0.7995 0.0755
0.2005 0.7313 0.4245
0.7313 0.2005 0.9245
0.7995 0.2687 0.5755
0.0440 0.1074 0.2597
0.8926 0.9560 0.2403
0.9560 0.8926 0.7403
0.1074 0.0440 0.7597
0.7549 0.5243 0.3370
0.4757 0.2451 0.1630
0.2451 0.4757 0.6630
0.5243 0.7549 0.8370
0.9198 0.3819 0.9363
0.6181 0.0802 0.5637
0.0802 0.6181 0.0637
0.3819 0.9198 0.4363
0.8216 0.7423 0.8242
0.2577 0.1784 0.6758
0.1784 0.2577 0.1758
0.7423 0.8216 0.3242
0.8566 0.5542 0.6093
0.4458 0.1434 0.8907
0.1434 0.4458 0.3907
0.5542 0.8566 0.1093
```

For the total energy, the calculation gives -8.01 eV per atom. For the size of the total moment, the calculation gives 0.00 μB per formula unit.

---

No. 6
The following is a PBE with a Hubbard U calculation of a geometry-optimized SrMgFeP2O8 structure, from the Materials Project.

The structure in POSCAR format:
```
SrMgFeP2O8
1.0
-0.4854 -3.4072 -4.4036
4.3626 -3.7281 3.6275
-8.7014 -0.5129 3.7904
Sr Mg Fe P O
2 2 2 4 16
Direct
0.2568 0.7992 0.0526
0.7432 0.2008 0.9474
0.9966 0.4014 0.6479
0.0034 0.5986 0.3521
0.6304 0.8451 0.5557
0.3696 0.1549 0.4443
0.3892 0.4213 0.2335
0.6108 0.5787 0.7665
0.8452 0.0258 0.3022
0.1548 0.9742 0.6978
0.8267 0.5530 0.8851
0.6518 0.4765 0.2078
0.6614 0.8078 0.7670
0.9550 0.1150 0.6851
0.3482 0.5235 0.7922
0.0120 0.7359 0.5828
0.9880 0.2641 0.4172
0.2478 0.9985 0.8666
0.3386 0.1922 0.2330
0.7522 0.0015 0.1334
0.1733 0.4470 0.1149
0.3724 0.5850 0.3940
0.6276 0.4150 0.6060
0.6221 0.9508 0.3622
0.0450 0.8850 0.3149
0.3779 0.0492 0.6378
```

Its offset from the most stable computed form is 0.0000 eV per atom. For the total energy, the calculation gives -7.07 eV per atom. For the size of the total moment, the calculation gives 4.00 μB per formula unit.

---

What is the size of the total moment in the fifth record?
0.00 μB per formula unit